Computed, not measured: crystalline CeSe2 at its relaxed geometry at the GGA-PBE level of DFT.

E, eV/atom: -5.393
Symmetry: Fddd (70)
Size of the total moment, μB per atom: 0.0005

Geometry as POSCAR:
```
CeSe2
1.0
0.000 8.001 12.397
3.992 0.000 12.397
3.992 8.001 0.000
Ce Se
4 8
Cartesian
2.994 6.001 1.539
4.990 10.002 7.738
2.994 6.001 17.057
4.990 10.002 23.256
0.000 0.000 0.000
1.996 4.001 0.000
1.996 0.000 6.199
2.994 2.994 9.298
4.990 6.994 15.497
0.000 4.001 6.199
2.994 9.008 9.298
4.990 13.009 15.497
```



Computed, not measured: crystalline KMg6Sb at its relaxed geometry at the GGA-PBE level of DFT.

E, eV/atom: -1.795
Size of the total moment, μB per atom: 0.0002
E above lowest polymorph, eV per atom: 0.000

Geometry as POSCAR:
```
KMg6Sb
1.0
-2.358 3.225 3.284
-2.983 -5.377 3.139
9.214 -0.794 7.396
Mg Sb K
12 2 2
Cartesian
2.075 0.059 5.503
3.095 -4.505 6.647
6.260 -3.356 7.791
-1.499 -4.083 2.934
3.145 -0.271 2.524
0.440 -2.888 7.224
6.538 -0.596 9.352
4.600 -1.792 5.063
3.484 -1.606 8.151
0.369 1.479 2.884
5.190 -3.026 10.771
-0.021 -1.419 1.379
-1.283 -1.195 4.325
4.815 1.096 6.453
7.638 -0.658 6.131
1.539 -2.949 4.002
```



Computed, not measured: crystalline Na2Y2In2SiS5O24 at its relaxed geometry at the GGA-PBE level of DFT.

E, eV/atom: -6.537
Symmetry: P1 (1)
Size of the total moment, μB per atom: 0.0000

Geometry as POSCAR:
```
Na2Y2In2SiS5O24
1.0
9.035 0.000 0.000
4.487 7.844 0.000
0.065 -0.014 23.998
Na Y In Si S O
6 6 6 3 15 72
Cartesian
0.000 0.000 0.000
4.433 7.608 11.427
4.541 2.073 7.809
4.841 2.436 20.158
8.955 5.146 4.129
9.112 5.007 15.792
4.564 7.715 20.452
4.570 7.617 15.355
4.640 2.401 16.300
4.731 2.392 23.534
9.071 4.941 19.530
9.216 5.138 12.103
4.571 7.652 8.184
4.614 7.635 3.632
4.509 2.296 4.384
4.638 2.312 11.278
9.053 5.226 7.436
9.031 4.932 0.363
7.217 7.618 5.871
7.785 2.684 21.951
10.561 7.405 9.808
1.448 2.118 17.843
3.224 5.282 5.821
1.854 2.419 1.912
3.275 4.650 13.823
5.959 5.323 17.856
5.886 4.765 1.976
3.301 0.088 13.858
6.394 5.014 9.875
7.815 7.317 21.939
7.288 2.439 13.848
10.466 7.835 1.919
7.758 2.164 5.849
10.937 7.608 17.856
11.786 4.993 21.939
10.461 2.699 9.838
0.929 1.430 16.634
3.677 6.147 21.807
0.886 1.324 9.789
0.955 1.228 2.001
1.136 1.343 19.053
3.767 5.922 7.027
3.885 6.011 13.921
2.724 2.552 3.098
3.543 3.746 22.037
3.615 3.901 15.067
2.666 2.269 0.680
2.922 2.647 9.957
3.813 3.976 12.635
2.927 2.247 17.761
3.952 3.994 5.650
5.217 6.092 2.044
6.309 7.796 13.971
6.301 7.802 7.201
5.460 5.979 19.069
5.594 6.251 9.783
5.581 6.091 16.641
6.336 7.372 21.818
6.413 7.445 4.456
3.584 0.901 12.671
3.691 1.127 5.824
5.397 4.118 0.726
5.359 3.958 17.780
5.473 3.851 10.023
3.862 0.851 22.024
5.587 3.909 3.144
3.818 0.738 15.095
7.238 5.128 11.109
8.150 6.544 23.145
7.442 5.208 17.857
7.225 4.767 8.688
8.383 6.710 20.704
7.375 4.949 1.895
8.153 6.269 5.931
8.395 6.580 13.798
6.158 2.527 21.993
5.351 1.046 9.896
6.287 2.385 5.691
5.599 0.986 17.786
6.469 2.532 15.097
5.377 0.634 3.103
6.424 2.302 12.672
5.734 0.798 0.693
8.152 3.636 13.802
9.881 6.655 8.560
8.102 3.477 20.553
9.841 6.481 1.756
10.081 6.403 17.891
8.397 3.402 23.269
8.445 3.468 6.022
10.343 6.612 11.236
7.938 1.299 7.027
11.777 7.719 19.059
8.292 1.544 4.594
8.132 1.207 13.949
11.783 7.524 16.637
11.948 7.699 2.065
8.468 1.187 21.905
12.178 7.564 9.631
9.881 3.474 17.882
10.959 5.225 23.136
10.801 5.020 5.944
10.066 3.670 1.848
9.916 3.322 11.089
10.832 4.775 13.802
10.111 3.486 8.652
10.967 4.898 20.701
12.426 6.133 4.598
```



Computed, not measured: crystalline KTaF6 at its relaxed geometry at the GGA-PBE level of DFT.

E, eV/atom: -6.303
Symmetry: P-4c2 (116)
Size of the total moment, μB per atom: 0.0001

Geometry as POSCAR:
```
KTaF6
1.0
5.289 0.000 0.000
0.000 5.289 0.000
0.000 0.000 9.972
K Ta F
2 2 12
Cartesian
0.000 0.000 0.000
0.000 0.000 4.986
2.644 2.644 2.493
2.644 2.644 7.479
1.279 1.279 2.493
1.279 4.010 7.479
1.624 1.733 6.124
1.624 3.556 1.138
1.733 1.624 8.835
1.733 3.664 3.848
3.556 1.624 3.848
3.556 3.664 8.835
3.664 1.733 1.138
3.664 3.556 6.124
4.010 1.279 7.479
4.010 4.010 2.493
```



Computed, not measured: crystalline TbAs2O2 at its relaxed geometry at the GGA-PBE level of DFT.

E, eV/atom: -5.582
Symmetry: I4_1/amd (141)
Size of the total moment, μB per atom: 0.0005

Geometry as POSCAR:
```
TbAs2O2
1.0
-5.003 5.003 5.247
5.003 -5.003 5.247
5.003 5.003 -5.247
Tb As O
4 8 8
Cartesian
0.000 0.000 0.000
2.501 2.501 -2.623
2.501 -2.501 2.623
0.000 5.003 0.000
5.003 -0.680 2.314
5.003 4.323 -2.314
1.821 2.501 0.309
3.182 -2.501 5.556
1.821 7.504 -0.309
3.182 2.501 4.937
0.000 0.680 7.561
0.000 5.683 2.933
3.361 2.501 -0.565
6.645 2.501 -0.565
0.000 0.859 2.058
5.003 0.859 3.189
0.000 4.144 2.058
5.003 4.144 3.189
-1.642 2.501 5.812
1.642 2.501 5.812
```



Computed, not measured: crystalline Li14Cu9P16O56 at its relaxed geometry at the GGA-PBE level of DFT.

E, eV/atom: -6.427
Symmetry: P-1 (2)
Size of the total moment, μB per atom: 0.0947

Geometry as POSCAR:
```
Li14Cu9P16O56
1.0
9.489 0.000 0.000
2.957 10.668 0.000
4.661 4.324 10.641
Li Cu P O
14 9 16 56
Cartesian
2.670 3.261 4.565
6.825 10.570 9.798
4.669 6.805 4.374
2.306 0.904 1.848
7.762 11.980 3.407
7.916 6.525 6.239
7.335 9.664 0.869
9.772 5.328 9.772
9.191 8.468 4.403
9.345 3.012 7.234
14.801 14.088 8.794
12.438 8.187 6.267
10.282 4.423 0.843
14.437 11.732 6.077
4.645 5.633 7.461
7.021 7.002 9.754
7.699 10.174 6.192
10.002 11.657 8.452
6.223 5.334 0.000
7.105 3.335 2.190
9.408 4.819 4.449
10.086 7.991 0.887
12.462 9.360 3.180
5.255 9.079 7.697
3.636 8.668 0.073
7.560 12.966 6.705
3.893 3.841 1.614
6.168 9.090 3.644
7.077 4.202 9.251
6.369 4.172 5.229
9.478 8.059 8.254
7.629 6.934 2.387
10.738 10.820 5.412
10.030 10.791 1.391
10.939 5.903 6.997
13.214 11.152 9.027
9.547 2.026 3.937
13.471 6.324 10.568
11.852 5.914 2.945
0.784 2.352 0.255
4.786 7.851 6.947
3.869 3.289 7.566
6.135 8.850 8.915
5.852 10.191 6.796
4.744 9.093 4.190
3.915 9.102 1.501
8.634 14.279 9.785
6.764 12.548 5.449
3.778 5.219 2.471
2.843 4.029 0.500
3.601 2.638 2.503
5.457 5.369 5.607
6.591 5.472 8.449
8.093 11.697 7.471
9.210 11.847 10.234
6.546 10.205 2.671
5.994 2.952 6.206
6.225 7.608 2.899
7.223 8.905 4.751
7.919 4.628 10.470
6.122 3.686 3.813
5.343 3.874 1.070
8.889 6.961 9.162
8.604 8.320 7.038
10.732 13.826 8.407
9.883 9.337 8.993
9.282 10.490 5.050
7.825 4.502 5.591
7.225 5.655 1.648
6.375 1.167 2.234
8.503 6.673 3.603
8.218 8.031 1.479
11.764 11.118 9.571
10.985 11.306 6.829
9.188 10.365 0.171
9.884 6.087 5.890
10.882 7.385 7.743
11.114 12.041 4.436
10.561 4.787 7.970
7.898 3.146 0.408
9.014 3.296 3.170
10.517 9.521 2.192
11.650 9.623 5.034
13.506 12.355 8.138
14.264 10.964 10.142
13.329 9.773 8.171
10.343 2.444 5.193
8.473 0.713 0.857
13.192 5.890 9.140
12.364 5.900 6.451
11.255 4.801 3.845
10.972 6.142 1.726
13.238 11.704 3.075
12.321 7.142 3.694
16.323 12.641 10.387
```



Computed, not measured: crystalline KSmP3HO10 at its relaxed geometry at the GGA-PBE level of DFT.

E, eV/atom: -7.105
Symmetry: P-1 (2)
Size of the total moment, μB per atom: 0.0002

Geometry as POSCAR:
```
KSmP3HO10
1.0
7.041 0.000 0.000
1.012 7.754 0.000
2.450 2.130 8.038
K Sm P H O
2 2 6 2 20
Cartesian
1.793 1.744 0.289
8.710 8.139 7.749
2.982 2.100 4.106
7.521 7.783 3.932
3.129 5.541 5.135
5.034 7.398 6.541
3.963 6.993 2.753
6.540 2.891 5.285
5.469 2.485 1.497
7.374 4.342 2.903
3.093 5.591 0.632
7.410 4.292 7.406
1.489 3.404 2.705
2.796 7.987 2.996
2.950 4.071 5.415
4.135 8.542 6.102
2.458 5.022 0.053
3.665 5.637 3.620
4.377 5.981 6.051
4.102 6.537 1.323
4.032 2.449 1.963
5.195 7.647 3.397
5.307 2.236 4.641
6.471 7.434 6.075
6.401 3.346 6.715
6.126 3.902 1.987
6.838 4.246 4.418
8.044 4.862 7.985
6.368 1.341 1.937
7.552 5.812 2.623
7.707 1.896 5.042
9.014 6.479 5.333
```



Computed, not measured: crystalline EuSi2Rh2 at its relaxed geometry at the GGA-PBE level of DFT.

E, eV/atom: -7.275
Symmetry: I4/mmm (139)

Geometry as POSCAR:
```
EuSi2Rh2
1.0
4.147 0.000 0.000
0.000 4.147 0.000
0.000 0.000 10.331
Eu Si Rh
2 4 4
Cartesian
0.000 0.000 0.000
2.074 2.074 5.166
0.000 0.000 3.829
0.000 0.000 6.503
2.074 2.074 1.337
2.074 2.074 8.994
0.000 2.074 2.583
0.000 2.074 7.748
2.074 0.000 2.583
2.074 0.000 7.748
```